[1]
The following is a DFT calculation (PBE) of LaSc3B4O12 after structural relaxation.

distance to the lowest polymorph of the same formula: 0.097 eV per atom
energy of formation: -67.496 eV per formula unit
energy: -169.28 eV per cell

```
LaSc3B4O12
1.0
-5.856 -2.108 -0.447
1.183 -1.066 6.033
-0.964 6.165 0.056
B O Sc La
4 12 3 1
Direct
0.500 0.988 0.012
0.500 0.500 0.500
0.988 0.012 0.500
0.012 0.500 0.988
0.355 0.500 0.645
0.500 0.133 0.867
0.867 0.500 0.133
0.500 0.645 0.355
0.133 0.867 0.500
0.376 0.003 0.173
0.003 0.173 0.376
0.624 0.827 0.997
0.645 0.355 0.500
0.173 0.376 0.003
0.997 0.624 0.827
0.827 0.997 0.624
0.494 0.000 0.506
0.506 0.494 0.000
0.000 0.506 0.494
0.000 0.000 0.000
```

[2]
The following is a DFT calculation (PBE) of NaNdHf2O6 after structural relaxation.

energy of formation: -35.221 eV per formula unit
energy: -86.79 eV per cell

```
NaNdHf2O6
1.0
0.000 -4.099 -4.099
4.099 0.000 -4.099
4.099 -4.099 0.000
O Hf Nd Na
6 2 1 1
Direct
0.000 0.500 0.000
0.000 0.000 0.500
0.500 0.500 0.000
0.500 0.000 0.000
0.500 0.000 0.500
0.000 0.500 0.500
0.250 0.250 0.250
0.750 0.750 0.750
0.500 0.500 0.500
0.000 0.000 0.000
```

[3]
The following is a DFT calculation (PBE) of In2Bi after structural relaxation.

energy of formation: 0.085 eV per formula unit
energy: -18.62 eV per cell

```
In2Bi
1.0
0.171 5.358 1.551
-1.382 -1.346 -5.237
-6.434 -0.309 1.777
Bi In
2 4
Direct
0.667 0.333 0.750
0.333 0.667 0.250
0.333 0.667 0.750
0.667 0.333 0.250
0.000 0.000 0.500
0.000 0.000 0.000
```

[4]
The following is a DFT calculation (PBE) of LiAgF2 after structural relaxation.

distance to the lowest polymorph of the same formula: 0.000 eV per atom
energy of formation: -8.700 eV per formula unit
energy: -16.35 eV per cell

```
LiAgF2
1.0
-3.294 -2.797 4.942
-1.554 -5.074 3.865
-0.368 -3.031 5.811
F Li Ag
2 1 1
Direct
0.110 0.110 0.110
0.890 0.890 0.890
0.500 0.500 0.500
0.000 0.000 0.000
```